Arrangement one

68
Lattice="8.682 0.000 0.000 0.000 8.682 0.000 0.000 0.000 8.395" Properties=species:S:1:pos:R:3 comment="Li5MnCr3O8 (PBE with a Hubbard U, optimized geometry)" sg="P4_32_12 (96)" pbc="T T T"
Li 0.424 1.718 3.721
Li 0.958 3.186 1.956
Li 1.155 5.299 8.253
Li 1.278 7.404 6.296
Li 1.718 0.424 4.675
Li 2.623 4.765 1.622
Li 3.063 3.063 0.000
Li 3.186 0.958 6.439
Li 3.383 7.527 4.340
Li 3.917 6.059 2.576
Li 4.765 2.623 6.773
Li 5.299 1.155 0.142
Li 5.496 7.724 2.241
Li 5.619 5.619 4.198
Li 6.059 3.917 5.819
Li 6.964 8.258 0.477
Li 7.404 1.278 2.099
Li 7.527 3.383 4.055
Li 7.724 5.496 6.154
Li 8.258 6.964 7.918
Mn 1.034 1.034 0.000
Mn 3.307 5.375 6.296
Mn 5.375 3.307 2.099
Mn 7.648 7.648 4.198
Cr 1.050 3.244 6.274
Cr 1.097 5.391 4.175
Cr 1.121 7.561 2.099
Cr 3.220 3.220 4.198
Cr 3.244 1.050 2.122
Cr 3.291 7.585 0.023
Cr 5.391 1.097 4.220
Cr 5.438 7.632 6.319
Cr 5.462 5.462 0.000
Cr 7.561 1.121 6.296
Cr 7.585 3.291 8.372
Cr 7.632 5.438 2.076
O 0.925 1.192 6.215
O 0.981 5.499 2.139
O 0.987 3.280 8.314
O 1.061 5.328 6.215
O 1.158 3.360 4.237
O 1.159 7.417 4.147
O 1.192 0.925 2.180
O 1.265 7.523 0.050
O 3.076 3.182 6.246
O 3.149 5.266 4.116
O 3.182 3.076 2.149
O 3.183 7.701 2.059
O 3.280 0.987 0.082
O 3.354 7.621 6.378
O 3.360 1.158 4.158
O 3.416 5.533 0.081
O 5.266 3.149 4.279
O 5.322 7.524 8.356
O 5.328 1.061 2.180
O 5.402 7.695 4.279
O 5.499 0.981 6.257
O 5.500 5.606 6.347
O 5.533 3.416 8.314
O 5.606 5.500 2.048
O 7.417 1.159 4.248
O 7.490 7.757 6.378
O 7.523 1.265 8.345
O 7.524 5.322 0.040
O 7.621 3.354 2.017
O 7.695 5.402 4.116
O 7.701 3.183 6.336
O 7.757 7.490 2.018

Arrangement two

34
Lattice="5.194 -3.014 0.000 5.194 3.014 0.000 -3.469 0.000 10.160" Properties=species:S:1:pos:R:3 comment="Li5MnCr3O8 (PBE with a Hubbard U, optimized geometry)" sg="C2/m (12)" pbc="T T T"
Li -0.002 0.000 0.985
Li 1.730 0.000 2.539
Li 4.324 1.508 2.540
Li 2.594 1.508 7.620
Li 3.457 0.000 4.095
Li 3.461 0.000 6.065
Li 4.324 -1.508 2.540
Li 2.594 -1.508 7.620
Li 5.188 0.000 7.621
Li 6.919 0.000 9.175
Mn 0.007 0.000 7.614
Mn 6.911 0.000 2.546
Cr -1.735 0.000 5.080
Cr 2.597 1.507 0.000
Cr 0.862 1.507 5.080
Cr 2.597 -1.507 0.000
Cr 0.862 -1.507 5.080
Cr 5.194 0.000 0.000
O 2.562 1.571 3.921
O 0.002 0.000 3.942
O 0.825 1.446 9.001
O -1.658 0.000 9.007
O 1.657 0.000 6.230
O 4.356 1.571 6.239
O 3.460 0.000 1.139
O 6.093 1.446 1.159
O 0.825 -1.446 9.001
O 3.458 0.000 9.021
O 2.562 -1.571 3.921
O 5.261 0.000 3.930
O 8.576 0.000 1.153
O 6.093 -1.446 1.159
O 6.916 0.000 6.218
O 4.356 -1.571 6.239

Stability check: which of them is least stable? arrangement two.

Arrangement one

22
Lattice="4.395 -2.612 0.000 4.395 2.612 0.000 0.000 0.000 10.209" Properties=species:S:1:pos:R:3 comment="Li2Mn2CrO6 (PBE with a Hubbard U, optimized geometry)" sg="Cmce (64)" pbc="T T T"
Li 2.197 0.536 2.552
Li 2.197 -0.536 7.657
Li 6.592 0.536 2.552
Li 6.592 -0.536 7.657
Mn 1.431 0.000 0.000
Mn 2.964 0.000 5.105
Mn 5.826 0.000 5.105
Mn 7.359 0.000 0.000
Cr 0.000 0.000 5.105
Cr 4.395 0.000 0.000
O 1.539 0.805 6.188
O 4.395 1.748 0.981
O 2.856 0.805 9.126
O 1.539 -0.805 4.021
O 4.395 0.864 6.085
O 2.856 -0.805 1.083
O 5.934 0.805 9.126
O 4.395 -0.864 4.124
O 7.251 0.805 6.188
O 5.934 -0.805 1.083
O 4.395 -1.748 9.229
O 7.251 -0.805 4.021

Arrangement two

22
Lattice="10.236 0.000 0.000 0.000 2.618 4.397 0.000 -2.618 4.397" Properties=species:S:1:pos:R:3 comment="Li2Mn2CrO6 (PBE with a Hubbard U, optimized geometry)" sg="Aea2 (41)" pbc="T T T"
Li 2.535 -1.949 4.397
Li 2.583 0.669 4.397
Li 7.653 -0.669 4.397
Li 7.701 1.949 4.397
Mn 0.000 0.000 5.133
Mn 0.000 0.000 8.006
Mn 5.118 0.000 0.736
Mn 5.118 0.000 3.610
Cr 0.000 0.000 2.140
Cr 5.118 0.000 6.537
O 0.978 -0.859 6.570
O 1.019 -0.895 3.677
O 1.139 1.918 4.992
O 3.979 -0.700 4.992
O 4.099 1.723 3.677
O 4.140 -0.859 2.173
O 6.096 0.859 2.173
O 6.137 -1.723 3.677
O 6.257 0.700 4.992
O 9.097 -1.918 4.992
O 9.217 0.895 3.677
O 9.258 0.859 6.570

Stability check: which of them is least stable? arrangement one.

Arrangement one

13
Lattice="2.917 1.684 4.850 -2.917 1.684 4.850 0.000 -3.368 4.850" Properties=species:S:1:pos:R:3 comment="LiMn3CrO8 (PBE with a Hubbard U, optimized geometry)" sg="R3m (160)" piezo_max_c_m2=0.2 pbc="T T T"
Li 0.000 0.000 0.000
Mn 0.000 -1.671 7.904
Mn -1.448 0.836 7.904
Mn 1.448 0.836 7.904
Cr 0.000 0.000 5.495
O 0.000 -1.515 4.165
O -1.312 0.757 4.165
O 0.000 0.000 2.039
O -1.298 -0.749 6.823
O 1.312 0.757 4.165
O 0.000 0.000 8.906
O 1.298 -0.749 6.823
O 0.000 1.499 6.823

Arrangement two

13
Lattice="5.075 -2.921 0.000 5.075 2.921 0.000 -3.393 0.000 5.096" Properties=species:S:1:pos:R:3 comment="LiMn3CrO8 (PBE with a Hubbard U, optimized geometry)" sg="C2/m (12)" pbc="T T T"
Li 0.000 0.000 0.000
Mn 0.841 1.460 2.548
Mn 0.841 -1.460 2.548
Mn 3.378 0.000 2.548
Cr -1.697 0.000 2.548
O 2.501 1.439 3.541
O 0.041 0.000 3.513
O 1.662 0.000 1.535
O 4.256 1.439 1.555
O 2.501 -1.439 3.541
O 5.094 0.000 3.561
O 6.716 0.000 1.582
O 4.256 -1.439 1.555

Stability check: which of them is least stable? arrangement two.

Arrangement one

28
Lattice="5.987 0.000 0.000 -2.994 5.185 0.000 0.000 0.000 9.627" Properties=species:S:1:pos:R:3 comment="Li2NbCr3O8 (PBE with a Hubbard U, optimized geometry)" sg="P6_3mc (186)" pbc="T T T"
Li 0.000 0.000 0.000
Li 0.000 0.000 4.814
Li 0.000 3.457 3.935
Li 2.994 1.728 8.749
Nb 0.000 3.457 0.004
Nb 2.994 1.728 4.818
Cr 0.000 1.764 6.957
Cr -1.466 4.303 6.957
Cr 1.528 0.882 2.143
Cr 1.466 4.303 6.957
Cr 4.459 0.882 2.143
Cr 2.994 3.421 2.143
O 0.000 0.000 3.034
O 0.000 0.000 7.848
O -1.317 2.696 8.170
O 0.000 1.731 0.976
O -1.495 4.320 0.976
O 0.000 3.457 5.926
O 1.499 0.865 5.789
O 1.317 2.696 8.170
O 0.000 4.977 8.170
O 2.994 0.208 3.357
O 1.677 2.489 3.357
O 1.495 4.320 0.976
O 2.994 1.728 1.113
O 4.488 0.865 5.789
O 2.994 3.454 5.789
O 4.310 2.489 3.357

Arrangement two

56
Lattice="8.530 0.000 0.000 0.000 8.530 0.000 0.000 0.000 8.530" Properties=species:S:1:pos:R:3 comment="Li2NbCr3O8 (PBE with a Hubbard U, optimized geometry)" sg="P4_332 (212)" piezo_max_c_m2=0.0 pbc="T T T"
Li 0.038 4.227 4.303
Li 2.094 6.359 6.436
Li 2.171 2.171 2.171
Li 4.227 4.303 0.038
Li 4.303 0.038 4.227
Li 6.359 6.436 2.094
Li 6.436 2.094 6.359
Li 8.492 8.492 8.492
Nb 1.066 7.464 3.199
Nb 3.199 1.066 7.464
Nb 5.331 5.331 5.331
Nb 7.464 3.199 1.066
Cr 1.036 1.096 5.331
Cr 1.066 3.229 7.434
Cr 1.096 5.331 1.036
Cr 3.169 3.199 5.301
Cr 3.199 5.301 3.169
Cr 3.229 7.434 1.066
Cr 5.301 3.169 3.199
Cr 5.331 1.036 1.096
Cr 5.362 7.464 7.494
Cr 7.434 1.066 3.229
Cr 7.464 7.494 5.362
Cr 7.494 5.362 7.464
O 0.949 5.214 7.581
O 0.952 3.291 0.969
O 0.969 0.952 3.291
O 0.974 7.561 5.217
O 1.158 5.445 3.102
O 1.164 7.372 1.180
O 1.180 1.164 7.372
O 1.184 3.081 5.449
O 3.081 5.449 1.184
O 3.085 7.367 3.107
O 3.102 1.158 5.445
O 3.107 3.085 7.367
O 3.291 0.969 0.952
O 3.296 7.578 7.556
O 3.313 5.240 5.234
O 3.316 3.316 3.316
O 5.214 7.581 0.949
O 5.217 0.974 7.561
O 5.234 3.313 5.240
O 5.240 5.234 3.313
O 5.429 5.423 7.350
O 5.423 7.350 5.429
O 5.445 3.102 1.158
O 5.449 1.184 3.081
O 7.347 7.347 7.347
O 7.350 5.429 5.423
O 7.372 1.180 1.164
O 7.367 3.107 3.085
O 7.556 3.296 7.578
O 7.561 5.217 0.974
O 7.578 7.556 3.296
O 7.581 0.949 5.214

Arrangement three

First-principles (PBE with a Hubbard U) data for crystalline Li2NbCr3O8 at its relaxed geometry, as listed in Materials Project.

Structure (extended XYZ):
```
28
Lattice="0.392 4.827 -3.592 -4.660 3.839 -0.410 6.860 4.308 6.538" Properties=species:S:1:pos:R:3 pbc="T T T"
O 3.458 6.802 1.684
O 0.009 4.417 -1.412
O -2.569 6.535 -1.620
O 2.587 8.549 3.947
O -0.861 6.173 0.843
O 1.119 8.673 1.655
O 2.765 10.740 2.316
O -0.168 2.235 0.212
O 0.665 6.275 3.445
O 1.907 6.703 -0.906
O 1.474 4.305 0.885
O 5.141 6.443 4.159
O 3.243 4.157 3.653
O 5.100 8.873 2.359
O -2.507 4.105 0.182
O -0.647 8.809 -1.119
Li 2.196 5.396 2.430
Li 0.397 7.580 0.108
Li -1.038 5.655 -2.635
Li 3.631 7.321 5.173
Cr -2.842 6.127 0.330
Cr 0.588 8.279 3.600
Cr -1.234 5.990 2.854
Cr 0.784 10.694 1.803
Cr 2.392 10.557 4.326
Cr -2.646 8.539 -1.465
Nb -0.516 4.201 0.528
Nb 3.110 8.768 2.001
```

Stability check: which of them is least stable? arrangement three.

Arrangement one

26
Lattice="6.397 -4.130 0.000 6.397 4.130 0.000 -0.401 0.000 6.881" Properties=species:S:1:pos:R:3 comment="Li2Cr2O9 (PBE with a Hubbard U, optimized geometry)" sg="C2/c (15)" pbc="T T T"
Li 1.349 0.168 0.791
Li 1.148 -0.168 4.231
Li 11.244 0.168 2.650
Li 11.043 -0.168 6.090
Cr 5.005 1.662 2.516
Cr 7.587 1.662 0.925
Cr 4.805 -1.662 5.956
Cr 7.387 -1.662 4.365
O 4.409 2.724 1.384
O 4.123 2.094 6.152
O 5.597 2.677 3.694
O 6.595 2.677 6.627
O 3.852 0.697 3.071
O 8.184 2.724 2.056
O 8.068 2.094 4.169
O 3.651 -0.697 6.511
O 6.296 0.709 1.720
O 6.096 -0.709 5.161
O 8.741 0.697 0.370
O 4.324 -2.094 2.712
O 4.208 -2.724 4.825
O 8.540 -0.697 3.810
O 5.797 -2.677 0.253
O 6.795 -2.677 3.187
O 8.269 -2.094 0.729
O 7.983 -2.724 5.496

Arrangement two

26
Lattice="7.403 -4.243 0.000 7.403 4.243 0.000 -0.917 0.000 6.548" Properties=species:S:1:pos:R:3 comment="Li2Cr2O9 (PBE with a Hubbard U, optimized geometry)" sg="C2/c (15)" pbc="T T T"
Li 1.673 0.489 1.930
Li 1.215 -0.489 5.204
Li 12.674 0.489 1.344
Li 12.216 -0.489 4.619
Cr 5.781 1.767 0.888
Cr 8.567 1.767 2.386
Cr 5.323 -1.767 4.162
Cr 8.108 -1.767 5.660
O 5.197 2.824 2.197
O 4.655 2.325 3.331
O 5.273 2.919 6.331
O 4.644 0.714 0.462
O 8.158 2.919 3.491
O 9.151 2.824 1.077
O 8.776 2.325 6.492
O 7.174 0.926 1.637
O 4.186 -0.714 3.736
O 9.703 0.714 2.813
O 6.715 -0.926 4.911
O 5.113 -2.325 0.057
O 4.738 -2.824 5.471
O 5.731 -2.919 3.057
O 9.245 -0.714 6.087
O 8.617 -2.919 0.217
O 9.234 -2.325 3.217
O 8.692 -2.824 4.351

Stability check: which of them is least stable? arrangement two.